Record 1
This record from the Materials Project describes a geometry-optimized BaEu2NiO5 structure. The functional is GGA+U. Values from VASP.

The structure in Quantum ESPRESSO input format:
```
&SYSTEM
  ibrav = 0, nat = 9, ntyp = 4
/
ATOMIC_SPECIES
O 16.00 O.upf
Ba 137.33 Ba.upf
Eu 151.96 Eu.upf
Ni 58.69 Ni.upf
ATOMIC_POSITIONS crystal
O 0.381 0.641 0.740
O 0.619 0.359 0.260
O 0.099 0.359 0.740
O 0.901 0.641 0.260
O 0.000 0.000 0.000
Ba 0.500 0.000 0.500
Eu 0.795 0.795 0.000
Eu 0.205 0.205 0.000
Ni 0.000 0.500 0.500
CELL_PARAMETERS angstrom
-1.921 2.953 5.812
1.921 -2.953 5.812
1.921 2.953 -5.812
```

---

Record 2
! Mg6AlNiO8 (GGA+U, optimized geometry); values from VASP
&SYSTEM
  ibrav = 0, nat = 16, ntyp = 4
/
ATOMIC_SPECIES
Ni 58.69 Ni.upf
Mg 24.30 Mg.upf
O 16.00 O.upf
Al 26.98 Al.upf
ATOMIC_POSITIONS crystal
Ni 0.500 0.000 0.000
Mg 0.742 0.000 0.500
Mg 0.000 0.500 0.500
Mg 0.500 0.500 0.500
Mg 0.258 0.500 0.000
Mg 0.742 0.500 0.000
Mg 0.258 0.000 0.500
O 0.250 0.500 0.500
O 0.500 0.500 0.000
O 0.000 0.500 0.000
O 0.750 0.500 0.500
O 0.792 0.000 0.000
O 0.000 0.000 0.500
O 0.208 0.000 0.000
O 0.500 0.000 0.500
Al 0.000 0.000 0.000
CELL_PARAMETERS angstrom
8.735 0.000 0.000
0.000 4.187 0.000
0.000 0.000 4.187
! * ΔE to the lowest computed polymorph: 0 meV per atom

---

Record 3
This record from the Materials Project describes a geometry-optimized CrF5 structure. The functional is GGA+U. Values from VASP.

The structure in Quantum ESPRESSO input format:
```
&SYSTEM
  ibrav = 0, nat = 24, ntyp = 2
/
ATOMIC_SPECIES
F 19.00 F.upf
Cr 52.00 Cr.upf
ATOMIC_POSITIONS crystal
F 0.636 0.386 0.070
F 0.364 0.614 0.930
F 0.136 0.614 0.430
F 0.641 0.848 0.626
F 0.616 0.891 0.198
F 0.859 0.848 0.126
F 0.195 0.883 0.654
F 0.884 0.891 0.698
F 0.384 0.109 0.802
F 0.305 0.883 0.154
F 0.622 0.348 0.493
F 0.378 0.652 0.507
F 0.805 0.117 0.346
F 0.878 0.348 0.993
F 0.359 0.152 0.374
F 0.116 0.109 0.302
F 0.864 0.386 0.570
F 0.141 0.152 0.874
F 0.122 0.652 0.007
F 0.695 0.117 0.846
Cr 0.252 0.882 0.903
Cr 0.748 0.118 0.097
Cr 0.752 0.118 0.597
Cr 0.248 0.882 0.403
CELL_PARAMETERS angstrom
9.770 0.000 0.000
0.000 5.348 0.000
0.000 2.543 6.942
```

---

Formation energy readings, ordered: -2.661; -2.762; -2.263 eV/atom
Magnetization readings, ordered: 13.97; 1.00; 4.00 μB per cell